Entry from the Materials Project database: Y2Fe3Si3O12 after structural relaxation (PBE with a Hubbard U).

## Properties
Crystal system: cubic
E (Ry per atom): -0.572

abc: 10.6925 10.6925 10.6925
angles: 109.47 109.47 109.47
Atoms (fractional coordinates):
Y  0.0000  0.0000  0.0000
Y  0.5000  0.0000  0.0000
Y  0.5000  0.5000  0.0000
Y  0.0000  0.5000  0.5000
Y  0.0000  0.0000  0.5000
Y  0.5000  0.5000  0.5000
Y  0.0000  0.5000  0.0000
Y  0.5000  0.0000  0.5000
Fe  0.8750  0.7500  0.6250
Fe  0.8750  0.6250  0.2500
Fe  0.6250  0.8750  0.7500
Fe  0.2500  0.8750  0.6250
Fe  0.7500  0.6250  0.8750
Fe  0.6250  0.2500  0.8750
Fe  0.1250  0.2500  0.3750
Fe  0.1250  0.3750  0.7500
Fe  0.3750  0.1250  0.2500
Fe  0.7500  0.1250  0.3750
Fe  0.2500  0.3750  0.1250
Fe  0.3750  0.7500  0.1250
Si  0.1250  0.7500  0.8750
Si  0.7500  0.8750  0.1250
Si  0.2500  0.6250  0.3750
Si  0.6250  0.7500  0.3750
Si  0.8750  0.1250  0.7500
Si  0.3750  0.2500  0.6250
Si  0.3750  0.6250  0.7500
Si  0.2500  0.1250  0.8750
Si  0.6250  0.3750  0.2500
Si  0.1250  0.8750  0.2500
Si  0.7500  0.3750  0.6250
Si  0.8750  0.2500  0.1250
O  0.5977  0.8929  0.3718
O  0.3718  0.5977  0.8929
O  0.2742  0.2952  0.9023
O  0.4789  0.6071  0.2048
O  0.2952  0.8929  0.0211
O  0.1282  0.0211  0.2258
O  0.3718  0.2742  0.4789
O  0.8929  0.3718  0.5977
O  0.2048  0.2258  0.5977
O  0.4789  0.3718  0.2742
O  0.8929  0.0211  0.2952
O  0.6071  0.9023  0.1282
O  0.9023  0.1282  0.6071
O  0.2742  0.4789  0.3718
O  0.5977  0.2048  0.2258
O  0.2258  0.5977  0.2048
O  0.0211  0.2952  0.8929
O  0.9023  0.2742  0.2952
O  0.0211  0.2258  0.1282
O  0.7952  0.7742  0.4023
O  0.2952  0.9023  0.2742
O  0.6071  0.2048  0.4789
O  0.2258  0.1282  0.0211
O  0.1282  0.6071  0.9023
O  0.4023  0.1071  0.6282
O  0.6282  0.4023  0.1071
O  0.7258  0.7048  0.0977
O  0.5211  0.3929  0.7952
O  0.7048  0.1071  0.9789
O  0.8718  0.9789  0.7742
O  0.6282  0.7258  0.5211
O  0.1071  0.6282  0.4023
O  0.8718  0.3929  0.0977
O  0.7742  0.8718  0.9789
O  0.3929  0.7952  0.5211
O  0.7048  0.0977  0.7258
O  0.7952  0.5211  0.3929
O  0.9789  0.7742  0.8718
O  0.0977  0.7258  0.7048
O  0.9789  0.7048  0.1071
O  0.7742  0.4023  0.7952
O  0.4023  0.7952  0.7742
O  0.7258  0.5211  0.6282
O  0.0977  0.8718  0.3929
O  0.3929  0.0977  0.8718
O  0.1071  0.9789  0.7048
O  0.5211  0.6282  0.7258
O  0.2048  0.4789  0.6071

Entry from the Materials Project database: ZnFeSi2O6 after structural relaxation (PBE with a Hubbard U).

## Properties
Excess energy over the best structure of this formula in the dataset (meV/atom): 0
Crystal system: monoclinic

abc: 5.3989 6.8212 6.8229
angles: 87.45 75.04 75.04
Atoms (fractional coordinates):
Zn  0.7499  0.2352  0.7649
Zn  0.2499  0.7648  0.2352
Fe  0.2500  0.1040  0.8957
Fe  0.7499  0.8958  0.1041
Si  0.2209  0.2213  0.3873
Si  0.2791  0.6126  0.7788
Si  0.7210  0.3873  0.2212
Si  0.7792  0.7787  0.6126
O  0.4589  0.3344  0.3780
O  0.0414  0.6221  0.6655
O  0.5413  0.6655  0.6221
O  0.9588  0.3781  0.3343
O  0.1231  0.1476  0.6192
O  0.3767  0.3807  0.8528
O  0.8767  0.8526  0.3807
O  0.6232  0.6192  0.1474
O  0.8391  0.2087  0.0417
O  0.6608  0.9583  0.7912
O  0.3391  0.0416  0.2088
O  0.1609  0.7913  0.9583

Entry from the Materials Project database: ZnFeSi4O10 after structural relaxation (PBE with a Hubbard U).

## Properties
Crystal system: tetragonal
E (Ry per atom): -0.536

abc: 7.3354 7.3354 14.9292
angles: 90.00 90.00 90.00
Atoms (fractional coordinates):
Zn  0.5000  0.5000  0.5000
Zn  0.0000  0.0000  0.5000
Zn  0.0000  0.0000  0.0000
Zn  0.5000  0.5000  0.0000
Fe  0.5000  0.0000  0.5674
Fe  0.0000  0.5000  0.9326
Fe  0.0000  0.5000  0.4326
Fe  0.5000  0.0000  0.0674
Si  0.1580  0.2401  0.6452
Si  0.8420  0.7599  0.6452
Si  0.2401  0.1580  0.8548
Si  0.7401  0.3420  0.6452
Si  0.2599  0.6580  0.6452
Si  0.3420  0.7401  0.8548
Si  0.6580  0.2599  0.8548
Si  0.7599  0.8420  0.8548
Si  0.3420  0.2599  0.3548
Si  0.6580  0.7401  0.3548
Si  0.2599  0.3420  0.1452
Si  0.7599  0.1580  0.3548
Si  0.2401  0.8420  0.3548
Si  0.1580  0.7599  0.1452
Si  0.8420  0.2401  0.1452
Si  0.7401  0.6580  0.1452
O  0.2294  0.0858  0.5758
O  0.7706  0.9142  0.5758
O  0.0858  0.2294  0.9242
O  0.5858  0.2706  0.5758
O  0.4142  0.7294  0.5758
O  0.2706  0.5858  0.9242
O  0.7294  0.4142  0.9242
O  0.9142  0.7706  0.9242
O  0.2706  0.4142  0.4242
O  0.7294  0.5858  0.4242
O  0.4142  0.2706  0.0758
O  0.9142  0.2294  0.4242
O  0.0858  0.7706  0.4242
O  0.2294  0.9142  0.0758
O  0.7706  0.0858  0.0758
O  0.2522  0.0607  0.3739
O  0.5858  0.7294  0.0758
O  0.7522  0.5607  0.6261
O  0.4393  0.2478  0.8739
O  0.9393  0.2522  0.6261
O  0.0607  0.7478  0.6261
O  0.2522  0.9393  0.8739
O  0.7478  0.0607  0.8739
O  0.5607  0.7522  0.8739
O  0.6910  0.6910  0.2500
O  0.8090  0.1910  0.2500
O  0.1910  0.8090  0.2500
O  0.3090  0.3090  0.2500
O  0.8090  0.8090  0.7500
O  0.6910  0.3090  0.7500
O  0.3090  0.6910  0.7500
O  0.1910  0.1910  0.7500
O  0.9393  0.7478  0.1261
O  0.7522  0.4393  0.1261
O  0.2478  0.5607  0.1261
O  0.4393  0.7522  0.3739
O  0.5607  0.2478  0.3739
O  0.0607  0.2522  0.1261
O  0.7478  0.9393  0.3739
O  0.2478  0.4393  0.6261

Entry from the Materials Project database: Zn3Fe2Si4O14 after structural relaxation (PBE with a Hubbard U).

## Properties
Crystal system: monoclinic
E (Ry per atom): -0.492

abc: 9.1167 9.1167 9.8945
angles: 60.96 60.96 50.69
Atoms (fractional coordinates):
Zn  0.0581  0.2805  0.0976
Zn  0.7195  0.9419  0.4024
Zn  0.2805  0.0581  0.5976
Zn  0.3945  0.6055  0.7500
Zn  0.9419  0.7195  0.9024
Zn  0.6055  0.3945  0.2500
Fe  0.7943  0.2057  0.7500
Fe  0.2057  0.7943  0.2500
Fe  0.0000  0.0000  0.0000
Fe  0.0000  0.0000  0.5000
Si  0.5309  0.1010  0.7094
Si  0.1010  0.5309  0.2094
Si  0.5185  0.2418  0.1026
Si  0.2418  0.5185  0.6026
Si  0.8990  0.4691  0.7906
Si  0.4815  0.7582  0.8974
Si  0.7582  0.4815  0.3974
Si  0.4691  0.8990  0.2906
O  0.8340  0.3003  0.3302
O  0.9569  0.8826  0.4166
O  0.4586  0.6394  0.0871
O  0.8826  0.9569  0.9166
O  0.2517  0.9441  0.3230
O  0.0591  0.5055  0.6258
O  0.6394  0.4586  0.5871
O  0.0559  0.7483  0.1770
O  0.9409  0.4945  0.3742
O  0.6338  0.6758  0.2670
O  0.0431  0.1174  0.5834
O  0.7483  0.0559  0.6770
O  0.4945  0.9409  0.8742
O  0.3003  0.8340  0.8302
O  0.6758  0.6338  0.7670
O  0.9441  0.2517  0.8230
O  0.9036  0.5065  0.9339
O  0.3662  0.3242  0.7330
O  0.4935  0.0964  0.5661
O  0.3242  0.3662  0.2330
O  0.5055  0.0591  0.1258
O  0.1174  0.0431  0.0834
O  0.5065  0.9036  0.4339
O  0.5414  0.3606  0.9129
O  0.0964  0.4935  0.0661
O  0.3606  0.5414  0.4129
O  0.6997  0.1660  0.1698
O  0.1660  0.6997  0.6698

Entry from the Materials Project database: ZnFeSi2O6 after structural relaxation (PBE with a Hubbard U).

## Properties
Excess energy over the best structure of this formula in the dataset (meV/atom): 2
Crystal system: triclinic

abc: 5.3817 6.8502 13.3392
angles: 93.41 97.70 74.75
Atoms (fractional coordinates):
Zn  0.1349  0.2334  0.3827
Zn  0.6300  0.2392  0.8811
Zn  0.3706  0.7610  0.1187
Zn  0.8648  0.7666  0.6173
Fe  0.1973  0.1034  0.9478
Fe  0.8029  0.8969  0.0522
Fe  0.6991  0.1052  0.4482
Fe  0.3005  0.8948  0.5517
Si  0.4224  0.2184  0.1938
Si  0.9130  0.2217  0.6927
Si  0.6689  0.6128  0.3895
Si  0.1622  0.6144  0.8903
Si  0.8381  0.3853  0.1098
Si  0.3309  0.3873  0.6105
Si  0.0868  0.7783  0.3072
Si  0.5778  0.7816  0.8063
O  0.6593  0.3273  0.1890
O  0.1496  0.3322  0.6896
O  0.3741  0.6185  0.3344
O  0.8658  0.6244  0.8355
O  0.8498  0.6681  0.3102
O  0.3414  0.6724  0.8113
O  0.1345  0.3757  0.1645
O  0.6256  0.3815  0.6657
O  0.4357  0.1484  0.3096
O  0.9266  0.1458  0.8072
O  0.8056  0.3817  0.4259
O  0.3034  0.3850  0.9266
O  0.0739  0.8540  0.1927
O  0.5640  0.8512  0.6904
O  0.6969  0.6146  0.0732
O  0.1944  0.6186  0.5742
O  0.8678  0.2101  0.0183
O  0.3603  0.2093  0.5208
O  0.0583  0.9576  0.3965
O  0.5432  0.9651  0.8935
O  0.4569  0.0353  0.1064
O  0.9412  0.0426  0.6033
O  0.6393  0.7909  0.4792
O  0.1323  0.7893  0.9819

Entry from the Materials Project database: ZnFeSi2O6 after structural relaxation (PBE with a Hubbard U).

## Properties
Excess energy over the best structure of this formula in the dataset (meV/atom): 14
Crystal system: orthorhombic

abc: 5.3104 9.1620 18.6130
angles: 90.00 90.00 90.00
Atoms (fractional coordinates):
Zn  0.6171  0.1514  0.3755
Zn  0.3829  0.8486  0.6245
Zn  0.6171  0.6514  0.1245
Zn  0.1171  0.8486  0.1245
Zn  0.8829  0.1514  0.8755
Zn  0.3829  0.3486  0.8755
Zn  0.1171  0.3486  0.3755
Zn  0.8829  0.6514  0.6245
Fe  0.3773  0.9884  0.8769
Fe  0.6227  0.0116  0.1231
Fe  0.8773  0.0116  0.6231
Fe  0.1227  0.9884  0.3769
Fe  0.3773  0.4884  0.6231
Fe  0.6227  0.5116  0.3769
Fe  0.8773  0.5116  0.8769
Fe  0.1227  0.4884  0.1231
Si  0.5640  0.6613  0.7720
Si  0.7107  0.8350  0.4744
Si  0.7893  0.8350  0.9744
Si  0.9360  0.1613  0.2280
Si  0.0640  0.3387  0.7280
Si  0.4360  0.8387  0.2720
Si  0.2107  0.6650  0.4744
Si  0.7107  0.3350  0.0256
Si  0.7893  0.3350  0.5256
Si  0.9360  0.6613  0.2720
Si  0.4360  0.3387  0.2280
Si  0.5640  0.1613  0.7280
Si  0.2893  0.1650  0.5256
Si  0.0640  0.8387  0.7720
Si  0.2893  0.6650  0.9744
Si  0.2107  0.1650  0.0256
O  0.9305  0.5035  0.3112
O  0.3006  0.0173  0.0659
O  0.0695  0.4965  0.6888
O  0.7108  0.3378  0.9374
O  0.2108  0.1622  0.9374
O  0.9176  0.2065  0.0516
O  0.9448  0.6619  0.1841
O  0.0552  0.8381  0.6841
O  0.7108  0.8378  0.5626
O  0.9448  0.1619  0.3159
O  0.4305  0.4965  0.1888
O  0.7892  0.3378  0.4374
O  0.6994  0.9827  0.9341
O  0.4448  0.8381  0.1841
O  0.5695  0.0035  0.6888
O  0.3006  0.5173  0.4341
O  0.4305  0.9965  0.3112
O  0.1673  0.7660  0.3020
O  0.3327  0.7660  0.8020
O  0.5824  0.7065  0.9484
O  0.7892  0.8378  0.0626
O  0.5552  0.6619  0.6841
O  0.8006  0.4827  0.0659
O  0.1673  0.2660  0.1980
O  0.2892  0.1622  0.4374
O  0.5552  0.1619  0.8159
O  0.6994  0.4827  0.5659
O  0.2108  0.6622  0.5626
O  0.1994  0.5173  0.9341
O  0.6673  0.7340  0.3020
O  0.0695  0.9965  0.8112
O  0.8327  0.7340  0.8020
O  0.8327  0.2340  0.6980
O  0.8006  0.9827  0.4341
O  0.2892  0.6622  0.0626
O  0.1994  0.0173  0.5659
O  0.3327  0.2660  0.6980
O  0.0824  0.7935  0.9484
O  0.4176  0.7935  0.4484
O  0.6673  0.2340  0.1980
O  0.4176  0.2935  0.0516
O  0.5824  0.2065  0.5516
O  0.0824  0.2935  0.5516
O  0.4448  0.3381  0.3159
O  0.5695  0.5035  0.8112
O  0.9176  0.7065  0.4484
O  0.0552  0.3381  0.8159
O  0.9305  0.0035  0.1888

Entry from the Materials Project database: Sm3Fe5O12 after structural relaxation (PBE with a Hubbard U).

## Properties
Crystal system: cubic
E (Ry per atom): -0.539

abc: 10.9919 10.9919 10.9919
angles: 109.47 109.47 109.47
Atoms (fractional coordinates):
Sm  0.2500  0.3750  0.1250
Sm  0.3750  0.7500  0.1250
Sm  0.1250  0.2500  0.3750
Sm  0.3750  0.1250  0.2500
Sm  0.1250  0.3750  0.7500
Sm  0.7500  0.1250  0.3750
Sm  0.7500  0.6250  0.8750
Sm  0.6250  0.2500  0.8750
Sm  0.8750  0.7500  0.6250
Sm  0.6250  0.8750  0.7500
Sm  0.8750  0.6250  0.2500
Sm  0.2500  0.8750  0.6250
Fe  0.0000  0.0000  0.0000
Fe  0.0000  0.5000  0.0000
Fe  0.0000  0.0000  0.5000
Fe  0.5000  0.0000  0.0000
Fe  0.0000  0.5000  0.5000
Fe  0.5000  0.0000  0.5000
Fe  0.5000  0.5000  0.0000
Fe  0.5000  0.5000  0.5000
Fe  0.2500  0.6250  0.3750
Fe  0.6250  0.7500  0.3750
Fe  0.8750  0.2500  0.1250
Fe  0.1250  0.8750  0.2500
Fe  0.2500  0.1250  0.8750
Fe  0.7500  0.8750  0.1250
Fe  0.3750  0.2500  0.6250
Fe  0.6250  0.3750  0.2500
Fe  0.1250  0.7500  0.8750
Fe  0.8750  0.1250  0.7500
Fe  0.7500  0.3750  0.6250
Fe  0.3750  0.6250  0.7500
O  0.7944  0.4172  0.8223
O  0.0828  0.8772  0.4052
O  0.6777  0.0948  0.9721
O  0.7056  0.5279  0.6228
O  0.7056  0.6777  0.0828
O  0.5279  0.6228  0.7056
O  0.0948  0.6228  0.4172
O  0.6228  0.7056  0.5279
O  0.4052  0.8223  0.5279
O  0.8772  0.9721  0.7944
O  0.9721  0.7944  0.8772
O  0.0828  0.7056  0.6777
O  0.6228  0.4172  0.0948
O  0.5279  0.4052  0.8223
O  0.6777  0.0828  0.7056
O  0.4172  0.0948  0.6228
O  0.8223  0.5279  0.4052
O  0.4052  0.0828  0.8772
O  0.0948  0.9721  0.6777
O  0.5948  0.1777  0.4721
O  0.9721  0.6777  0.0948
O  0.8223  0.7944  0.4172
O  0.8772  0.4052  0.0828
O  0.7944  0.8772  0.9721
O  0.2056  0.5828  0.1777
O  0.9172  0.1228  0.5948
O  0.3223  0.9052  0.0279
O  0.2944  0.4721  0.3772
O  0.2944  0.3223  0.9172
O  0.4721  0.3772  0.2944
O  0.9052  0.3772  0.5828
O  0.3772  0.2944  0.4721
O  0.2056  0.1228  0.0279
O  0.1228  0.5948  0.9172
O  0.1777  0.2056  0.5828
O  0.5828  0.1777  0.2056
O  0.0279  0.3223  0.9052
O  0.9052  0.0279  0.3223
O  0.5948  0.9172  0.1228
O  0.1777  0.4721  0.5948
O  0.5828  0.9052  0.3772
O  0.3223  0.9172  0.2944
O  0.4721  0.5948  0.1777
O  0.3772  0.5828  0.9052
O  0.9172  0.2944  0.3223
O  0.0279  0.2056  0.1228
O  0.1228  0.0279  0.2056
O  0.4172  0.8223  0.7944